Record 1
# PBE PrVSb3, optimized geometry
# Offset from the most stable computed form   246 meV/atom
# Energy with MP2020 corrections   -0.208 Ha/atom
data_PrVSb3
_cell_length_a 6.589
_cell_length_b 7.932
_cell_length_c 10.515
_cell_angle_alpha 90.00
_cell_angle_beta 90.00
_cell_angle_gamma 90.00
_symmetry_space_group_name_H-M 'P 1'
_symmetry_Int_Tables_number 1
_symmetry_space_group_name_Hall 'P 1'
loop_
_atom_site_label
_atom_site_fract_x
_atom_site_fract_y
_atom_site_fract_z
Sb1 0.750 0.526 0.764
Sb2 0.250 0.728 0.988
V1 0.000 0.250 0.809
Sb3 0.250 0.228 0.012
Sb4 0.750 0.026 0.236
Sb5 0.500 0.750 0.452
Pr1 0.250 0.573 0.688
V2 0.500 0.250 0.809
Pr2 0.250 0.073 0.312
Sb6 0.500 0.250 0.548
Sb7 0.750 0.272 0.012
Sb8 0.750 0.772 0.988
V3 0.000 0.750 0.191
Sb9 0.250 0.974 0.764
Pr3 0.750 0.927 0.688
V4 0.500 0.750 0.191
Sb10 0.250 0.474 0.236
Sb11 0.000 0.750 0.452
Pr4 0.750 0.427 0.312
Sb12 0.000 0.250 0.548



Record 2
Compound: Sc44Ir7
Source: the Materials Project database
Functional: PBE
Structure: optimized geometry

Geometry as CIF:
```
data_Sc44Ir7
_cell_length_a 14.667
_cell_length_b 14.667
_cell_length_c 14.667
_cell_angle_alpha 60.00
_cell_angle_beta 60.00
_cell_angle_gamma 60.00
_symmetry_space_group_name_H-M 'P 1'
_symmetry_Int_Tables_number 1
_symmetry_space_group_name_Hall 'P 1'
loop_
_atom_site_label
_atom_site_fract_x
_atom_site_fract_y
_atom_site_fract_z
Sc1 0.788 0.427 0.788
Sc2 0.663 0.225 0.448
Sc3 0.056 0.831 0.056
Ir1 0.244 0.919 0.919
Sc4 0.021 0.299 0.021
Sc5 0.892 0.536 0.286
Sc6 0.448 0.663 0.225
Sc7 0.515 0.879 0.091
Sc8 0.427 0.998 0.788
Sc9 0.162 0.514 0.162
Sc10 0.644 0.856 0.644
Sc11 0.299 0.021 0.659
Sc12 0.021 0.659 0.021
Ir2 0.651 0.651 0.651
Sc13 0.162 0.162 0.514
Sc14 0.663 0.663 0.225
Sc15 0.514 0.162 0.162
Sc16 0.091 0.879 0.515
Sc17 0.879 0.515 0.091
Sc18 0.299 0.021 0.021
Ir3 0.047 0.651 0.651
Sc19 0.091 0.515 0.879
Sc20 0.308 0.308 0.076
Sc21 0.286 0.286 0.536
Sc22 0.515 0.091 0.515
Sc23 0.225 0.448 0.663
Sc24 0.892 0.286 0.286
Sc25 0.440 0.440 0.680
Sc26 0.659 0.021 0.299
Sc27 0.998 0.427 0.788
Ir4 0.409 0.091 0.409
Sc28 0.427 0.788 0.998
Sc29 0.644 0.644 0.856
Sc30 0.644 0.856 0.856
Sc31 0.879 0.515 0.515
Sc32 0.879 0.091 0.515
Sc33 0.788 0.998 0.427
Sc34 0.663 0.448 0.663
Sc35 0.659 0.299 0.021
Sc36 0.308 0.308 0.308
Sc37 0.536 0.286 0.286
Sc38 0.663 0.663 0.448
Sc39 0.308 0.076 0.308
Ir5 0.651 0.651 0.047
Sc40 0.998 0.788 0.788
Sc41 0.809 0.191 0.191
Sc42 0.021 0.659 0.299
Sc43 0.021 0.021 0.659
Sc44 0.162 0.162 0.162
Ir6 0.091 0.409 0.091
Sc45 0.659 0.021 0.021
Ir7 0.919 0.919 0.244
Sc46 0.515 0.091 0.879
Sc47 0.286 0.892 0.536
Sc48 0.448 0.225 0.663
Ir8 0.651 0.047 0.651
Sc49 0.856 0.644 0.856
Ir9 0.409 0.091 0.091
Sc50 0.809 0.191 0.809
Sc51 0.225 0.663 0.448
Ir10 0.409 0.409 0.091
Sc52 0.286 0.536 0.892
Sc53 0.286 0.892 0.286
Sc54 0.998 0.788 0.427
Sc55 0.663 0.448 0.225
Sc56 0.831 0.056 0.056
Sc57 0.809 0.809 0.191
Sc58 0.286 0.536 0.286
Sc59 0.076 0.308 0.308
Sc60 0.663 0.225 0.663
Sc61 0.427 0.788 0.788
Sc62 0.021 0.021 0.299
Ir11 0.091 0.409 0.409
Sc63 0.091 0.515 0.515
Sc64 0.440 0.440 0.440
Sc65 0.788 0.788 0.427
Sc66 0.515 0.879 0.515
Sc67 0.856 0.856 0.644
Sc68 0.191 0.809 0.191
Sc69 0.056 0.056 0.056
Sc70 0.788 0.998 0.788
Ir12 0.919 0.919 0.919
Ir13 0.091 0.091 0.409
Sc71 0.788 0.427 0.998
Sc72 0.191 0.809 0.809
Sc73 0.440 0.680 0.440
Ir14 0.919 0.244 0.919
Sc74 0.299 0.659 0.021
Sc75 0.191 0.191 0.809
Sc76 0.515 0.515 0.879
Sc77 0.286 0.286 0.892
Sc78 0.225 0.663 0.663
Sc79 0.515 0.515 0.091
Sc80 0.680 0.440 0.440
Sc81 0.021 0.299 0.659
Sc82 0.856 0.644 0.644
Sc83 0.056 0.056 0.831
Sc84 0.892 0.286 0.536
Sc85 0.536 0.892 0.286
Sc86 0.536 0.286 0.892
Sc87 0.448 0.663 0.663
Sc88 0.788 0.788 0.998
```



Record 3
# PBE SrSc2O4, optimized geometry
# Offset from the most stable computed form   0 meV/atom
# Energy with MP2020 corrections   -0.317 Ha/atom
data_SrSc2O4
_cell_length_a 3.209
_cell_length_b 9.760
_cell_length_c 11.349
_cell_angle_alpha 90.00
_cell_angle_beta 90.00
_cell_angle_gamma 90.00
_symmetry_space_group_name_H-M 'P 1'
_symmetry_Int_Tables_number 1
_symmetry_space_group_name_Hall 'P 1'
loop_
_atom_site_label
_atom_site_fract_x
_atom_site_fract_y
_atom_site_fract_z
Sc1 0.750 0.571 0.610
Sc2 0.250 0.922 0.607
Sr1 0.250 0.255 0.152
Sc3 0.250 0.422 0.893
Sr2 0.750 0.745 0.848
O1 0.750 0.883 0.480
O2 0.750 0.292 0.340
O3 0.750 0.479 0.783
Sc4 0.750 0.071 0.890
Sc5 0.750 0.578 0.107
O4 0.250 0.926 0.926
O5 0.250 0.426 0.574
Sc6 0.250 0.429 0.390
Sc7 0.750 0.078 0.393
O6 0.250 0.521 0.217
Sr3 0.250 0.755 0.348
O7 0.250 0.021 0.283
O8 0.250 0.708 0.660
O9 0.250 0.117 0.520
Sr4 0.750 0.245 0.652
O10 0.750 0.792 0.160
O11 0.750 0.074 0.074
Sc8 0.250 0.929 0.110
O12 0.750 0.574 0.426
O13 0.750 0.383 0.020
O14 0.250 0.208 0.840
O15 0.750 0.979 0.717
O16 0.250 0.617 0.980



Record 4
# PBE CaEr4Zr4O14, optimized geometry
# Offset from the most stable computed form   543 meV/atom
# Energy with MP2020 corrections   -0.308 Ha/atom
data_CaEr4Zr4O14
_cell_length_a 4.143
_cell_length_b 15.476
_cell_length_c 13.944
_cell_angle_alpha 27.23
_cell_angle_beta 53.54
_cell_angle_gamma 57.63
_symmetry_space_group_name_H-M 'P 1'
_symmetry_Int_Tables_number 1
_symmetry_space_group_name_Hall 'P 1'
loop_
_atom_site_label
_atom_site_fract_x
_atom_site_fract_y
_atom_site_fract_z
O1 0.714 0.738 0.905
O2 0.234 0.001 0.632
O3 0.693 0.291 0.363
O4 0.251 0.828 0.546
O5 0.740 0.996 0.884
Zr1 0.000 0.250 0.500
Er1 0.077 0.504 0.458
O6 0.766 0.499 0.368
Er2 0.000 0.750 0.500
Er3 0.923 0.996 0.542
O7 0.867 0.256 0.810
O8 0.286 0.762 0.095
O9 0.260 0.504 0.116
O10 0.235 0.996 0.137
O11 0.307 0.209 0.637
O12 0.133 0.244 0.190
Zr2 0.946 0.493 0.034
Zr3 0.054 0.007 0.966
O13 0.749 0.672 0.454
Zr4 0.000 0.750 0.000
Ca1 0.500 0.250 0.000
Er4 0.000 0.250 0.000
O14 0.765 0.504 0.863



Record 5
Compound: YCu2
Source: the Materials Project database
Functional: PBE
Structure: optimized geometry

Geometry as CIF:
```
data_YCu2
_cell_length_a 5.272
_cell_length_b 5.272
_cell_length_c 8.407
_cell_angle_alpha 90.00
_cell_angle_beta 90.00
_cell_angle_gamma 119.76
_symmetry_space_group_name_H-M 'P 1'
_symmetry_Int_Tables_number 1
_symmetry_space_group_name_Hall 'P 1'
loop_
_atom_site_label
_atom_site_fract_x
_atom_site_fract_y
_atom_site_fract_z
Cu1 0.835 0.669 0.250
Cu2 0.000 0.000 0.000
Cu3 0.835 0.165 0.250
Cu4 0.165 0.835 0.750
Y1 0.667 0.333 0.558
Cu5 0.165 0.331 0.750
Cu6 0.000 0.000 0.500
Cu7 0.669 0.835 0.750
Y2 0.333 0.667 0.058
Cu8 0.331 0.165 0.250
Y3 0.333 0.667 0.442
Y4 0.667 0.333 0.942
```



Record 6
Compound: CsEu3
Source: the Materials Project database
Functional: PBE
Structure: optimized geometry

Geometry as CIF:
```
data_CsEu3
_cell_length_a 6.744
_cell_length_b 6.744
_cell_length_c 6.744
_cell_angle_alpha 60.00
_cell_angle_beta 60.00
_cell_angle_gamma 60.00
_symmetry_space_group_name_H-M 'P 1'
_symmetry_Int_Tables_number 1
_symmetry_space_group_name_Hall 'P 1'
loop_
_atom_site_label
_atom_site_fract_x
_atom_site_fract_y
_atom_site_fract_z
Eu1 0.500 0.500 0.500
Eu2 0.750 0.750 0.750
Cs1 0.000 0.000 0.000
Eu3 0.250 0.250 0.250
```



Record 7
# PBE HgBr2O8, optimized geometry
# Energy with MP2020 corrections   -0.143 Ha/atom
data_HgBr2O8
_cell_length_a 6.232
_cell_length_b 9.594
_cell_length_c 12.630
_cell_angle_alpha 90.00
_cell_angle_beta 90.00
_cell_angle_gamma 90.00
_symmetry_space_group_name_H-M 'P 1'
_symmetry_Int_Tables_number 1
_symmetry_space_group_name_Hall 'P 1'
loop_
_atom_site_label
_atom_site_fract_x
_atom_site_fract_y
_atom_site_fract_z
O1 0.648 0.942 0.598
O2 0.086 0.774 0.194
O3 0.409 0.732 0.571
O4 0.264 0.988 0.859
O5 0.736 0.488 0.641
O6 0.770 0.004 0.839
Hg1 0.046 0.043 0.229
O7 0.914 0.274 0.306
O8 0.230 0.504 0.661
O9 0.594 0.735 0.288
O10 0.730 0.996 0.339
O11 0.094 0.765 0.712
Br1 0.330 0.336 0.110
Br2 0.830 0.164 0.890
Br3 0.670 0.836 0.390
O12 0.191 0.768 0.983
Br4 0.205 0.215 0.604
O13 0.852 0.058 0.098
O14 0.352 0.442 0.902
O15 0.764 0.512 0.141
O16 0.850 0.543 0.879
Hg2 0.546 0.457 0.771
O17 0.591 0.232 0.929
O18 0.414 0.226 0.694
O19 0.691 0.732 0.017
Hg3 0.454 0.957 0.729
O20 0.270 0.496 0.161
Br5 0.295 0.785 0.104
O21 0.406 0.235 0.212
O22 0.309 0.232 0.483
O23 0.148 0.558 0.402
O24 0.809 0.268 0.517
Br6 0.170 0.664 0.610
O25 0.909 0.768 0.429
Hg4 0.954 0.543 0.271
Br7 0.705 0.285 0.396
O26 0.586 0.726 0.806
O27 0.150 0.043 0.621
O28 0.350 0.957 0.121
O29 0.906 0.265 0.788
O30 0.236 0.012 0.359
Br8 0.795 0.715 0.896
O31 0.650 0.457 0.379
O32 0.091 0.268 0.071



Record 8
# PBE CaTiP2O7, optimized geometry
# Offset from the most stable computed form   16 meV/atom
# Energy with MP2020 corrections   -0.291 Ha/atom
data_CaTiP2O7
_cell_length_a 6.607
_cell_length_b 6.670
_cell_length_c 6.792
_cell_angle_alpha 65.69
_cell_angle_beta 85.63
_cell_angle_gamma 82.60
_symmetry_space_group_name_H-M 'P 1'
_symmetry_Int_Tables_number 1
_symmetry_space_group_name_Hall 'P 1'
loop_
_atom_site_label
_atom_site_fract_x
_atom_site_fract_y
_atom_site_fract_z
O1 0.627 0.404 0.846
O2 0.373 0.596 0.154
O3 0.271 0.207 0.257
Ti1 0.641 0.094 0.791
O4 0.683 0.949 0.143
P1 0.139 0.232 0.746
O5 0.317 0.051 0.857
O6 0.729 0.793 0.743
P2 0.626 0.641 0.673
O7 0.027 0.895 0.284
P3 0.374 0.359 0.327
O8 0.973 0.105 0.716
O9 0.416 0.743 0.573
Ti2 0.359 0.906 0.209
Ca1 0.142 0.728 0.827
O10 0.584 0.257 0.427
Ca2 0.858 0.272 0.173
P4 0.861 0.768 0.254
O11 0.226 0.394 0.518
O12 0.774 0.606 0.482
O13 0.068 0.381 0.861
O14 0.932 0.619 0.139



Number 1: raw total energy -5.540 eV per atom, E_form -405 meV/atom, calculated density 6.73 Mg/m³. Number 2: raw total energy -7.049 eV per atom, E_form -372 meV/atom, calculated density 4.95 Mg/m³. Number 3: raw total energy -8.224 eV per atom, E_form -3738 meV/atom, calculated density 4.51 Mg/m³. Number 4: raw total energy -7.956 eV per atom, E_form -2994 meV/atom, calculated density 6.55 Mg/m³. Number 5: raw total energy -5.076 eV per atom, E_form -188 meV/atom, calculated density 7.07 Mg/m³. Number 6: raw total energy -7.645 eV per atom, E_form 272 meV/atom, calculated density 4.51 Mg/m³. Number 7: raw total energy -3.385 eV per atom, E_form 39 meV/atom, calculated density 4.30 Mg/m³. Number 8: raw total energy -7.475 eV per atom, E_form -2879 meV/atom, calculated density 3.22 Mg/m³.